Entry 1:
Material: MgTa2N3
Method: DFT, r2SCAN
State: optimized geometry

Output
As for the symmetry: P6_3/mcm (193). The formation energy comes out at -1.41 eV/atom.

The structure in POSCAR format:
```
MgTa2N3
1.0
-4.552 -0.871 2.387
1.723 -3.330 -3.622
4.934 -5.499 7.403
Ta N Mg
8 12 4
Direct
0.000 0.000 0.000 Ta
0.336 0.336 0.750 Ta
0.336 0.000 0.250 Ta
0.664 0.664 0.250 Ta
0.664 0.000 0.750 Ta
0.000 0.000 0.500 Ta
0.000 0.336 0.250 Ta
0.000 0.664 0.750 Ta
0.000 0.671 0.380 N
0.671 0.671 0.880 N
0.671 0.671 0.620 N
0.671 0.000 0.380 N
0.000 0.329 0.880 N
0.000 0.671 0.120 N
0.329 0.000 0.880 N
0.000 0.329 0.620 N
0.671 0.000 0.120 N
0.329 0.329 0.120 N
0.329 0.329 0.380 N
0.329 0.000 0.620 N
0.333 0.667 0.000 Mg
0.667 0.333 0.500 Mg
0.333 0.667 0.500 Mg
0.667 0.333 0.000 Mg
```


Entry 2:
Material: MgTiN2
Method: DFT, r2SCAN
State: optimized geometry

Output
As for the symmetry: R-3m (166). The formation energy comes out at -1.58 eV/atom.

The structure in POSCAR format:
```
MgTiN2
1.0
-0.806 5.108 1.067
0.476 3.911 3.516
2.174 4.673 1.148
Mg N Ti
1 2 1
Direct
0.000 0.667 0.333 Mg
0.243 0.910 0.577 N
0.757 0.423 0.090 N
0.500 0.167 0.833 Ti
```